No. 1
DFT (PBE with a Hubbard U) results for an optimized crystal structure of Li7Mn4CoO12.

Output
Corrected total energy (MP2020 scheme) (eV/cell): -330.9
DFT formation energy (eV/atom): -2.039

Cell lengths 5.8579, 5.9014, 14.4807 Å; angles 91.72, 90.32, 119.29 degrees
With the nearest neighbours (Å) after each atom.
Fractional coordinates of all 48 atoms:
Li  0.0000  0.0000  0.0000  5 O 2.09-2.17
Li  0.0006  0.4987  0.9987  5 O 2.05-2.17
Li  0.1770  0.8491  0.6647  6 O 2.05-2.18
Li  0.1783  0.3494  0.6644  6 O 2.06-2.15
Li  0.1808  0.8436  0.1618  6 O 2.07-2.22
Li  0.1824  0.3529  0.1561  4 O 2.03-2.25
Li  0.3575  0.1946  0.3276  5 O 2.04-2.20
Li  0.3605  0.6989  0.3250  5 O 2.06-2.20
Li  0.4993  0.9978  0.5084  4 O 1.97-2.17
Li  0.5055  0.5081  0.5037  6 O 2.00-2.23
Li  0.6839  0.3524  0.6673  6 O 2.15-2.29
Li  0.6861  0.8495  0.6691  6 O 2.12-2.34
Li  0.8517  0.1936  0.8242  6 O 2.02-2.24
Li  0.8539  0.6953  0.8234  5 O 2.01-2.25
Mn  0.0188  0.0144  0.5032  5 O 1.81-2.01
Mn  0.0220  0.5172  0.5035  4 O 1.80-2.00
Mn  0.3344  0.1861  0.8229  6 O 1.83-2.04
Mn  0.3347  0.6874  0.8231  5 O 1.83-2.01
Mn  0.5085  0.0137  0.9971  4 O 1.92-2.06
Mn  0.5081  0.5137  0.9956  4 O 1.92-2.03
Mn  0.8479  0.1823  0.3310  4 O 1.94-1.99
Mn  0.8482  0.6813  0.3318  6 O 1.92-1.98
Co  0.6802  0.8458  0.1624  6 O 2.06-2.16
Co  0.6869  0.3497  0.1622  6 O 1.98-2.08
O  0.0114  0.5350  0.2516  1 Mn 1.94, 2 Li 2.06-2.09, 1 Co 2.08
O  0.0333  0.0327  0.7519  1 Mn 1.83, 1 Li 2.02
O  0.0337  0.5316  0.7526  1 Mn 1.83, 1 Li 2.01
O  0.1453  0.3214  0.4216  3 Mn 1.99-2.01, 2 Li 2.17-2.20
O  0.1502  0.8254  0.4205  3 Mn 1.98-2.03, 2 Li 2.17-2.20
O  0.2010  0.8773  0.9026  3 Mn 2.00-2.06, 2 Li 2.09-2.17
O  0.2043  0.3779  0.9033  3 Mn 2.00-2.03, 2 Li 2.11-2.15
O  0.3206  0.6666  0.5723  1 Mn 1.80, 2 Li 1.97-2.00
O  0.3226  0.1695  0.5706  1 Mn 1.81, 2 Li 1.97-2.03
O  0.3526  0.1645  0.0797  1 Mn 1.95, 1 Co 2.06, 3 Li 2.07-2.12
O  0.3533  0.6682  0.0757  2 Mn 1.94-2.15, 3 Li 2.03-2.15, 1 Co 2.07
O  0.4922  0.0094  0.7552  2 Mn 1.95-1.96, 3 Li 2.05-2.17
O  0.4939  0.5110  0.7557  2 Mn 1.95-1.97, 3 Li 2.06-2.17
O  0.5417  0.5226  0.2529  1 Mn 1.92, 2 Li 2.04-2.08, 1 Co 2.07
O  0.5426  0.0421  0.2492  1 Mn 1.94, 2 Li 2.04-2.12, 2 Co 2.06-2.10
O  0.6470  0.3519  0.9134  2 Mn 1.92-2.04
O  0.6508  0.8591  0.9140  2 Mn 1.92-2.06
O  0.7017  0.8361  0.4141  2 Mn 1.92-2.05, 1 Li 2.15
O  0.7149  0.3734  0.4073  3 Mn 1.96-2.07, 1 Li 2.14
O  0.8245  0.6535  0.0814  2 Co 1.99-2.06, 1 Mn 2.02, 3 Li 2.05-2.17
O  0.8352  0.1781  0.0821  2 Co 1.98-2.10, 1 Mn 2.05, 3 Li 2.05-2.09
O  0.8612  0.1939  0.5684  2 Mn 1.94, 2 Li 2.03-2.11
O  0.8666  0.6937  0.5707  2 Mn 1.93-1.95, 2 Li 2.06-2.07
O  0.9955  0.9955  0.2606  2 Mn 1.95-1.97, 1 Li 2.07, 1 Co 2.12

=====

No. 2
DFT (PBE with a Hubbard U) results for an optimized crystal structure of Li7Mn4CoO12.

Output
Corrected total energy (MP2020 scheme) (eV/cell): -166.0
DFT formation energy (eV/atom): -2.064

Cell lengths 5.0268, 5.8275, 7.9391 Å; angles 79.39, 80.36, 73.14 degrees
With the nearest neighbours (Å) after each atom.
Fractional coordinates of all 24 atoms:
Li  0.0000  0.0000  0.0000  6 O 2.04-2.20
Li  0.0013  0.1679  0.3187  6 O 2.07-2.24
Li  0.0026  0.6646  0.3189  6 O 2.08-2.20
Li  0.0058  0.3304  0.6498  5 O 2.09-2.32
Li  0.4978  0.8348  0.1610  4 O 2.00-2.17
Li  0.4989  0.1666  0.8231  6 O 2.11-2.17
Li  0.5133  0.4977  0.4805  6 O 2.04-2.25
Mn  0.0089  0.8329  0.6514  6 O 1.91-2.03
Mn  0.4985  0.6640  0.8257  4 O 1.95-1.97
Mn  0.5030  0.3289  0.1608  6 O 1.88-2.03
Mn  0.5129  0.0010  0.4810  5 O 1.94-2.15
Co  0.9961  0.4938  0.0030  5 O 1.90-2.03
O  0.2440  0.6407  0.0797  1 Co 1.93, 1 Mn 1.97, 2 Li 2.08-2.14
O  0.2442  0.8416  0.4342  2 Mn 1.92-1.96, 2 Li 2.07-2.08
O  0.2439  0.9773  0.7449  2 Mn 1.94-1.97, 2 Li 2.13-2.14
O  0.2518  0.5199  0.7390  2 Mn 1.95-1.96, 2 Li 2.13-2.15
O  0.2566  0.1928  0.0658  1 Co 1.90, 1 Mn 1.96, 2 Li 2.11-2.12
O  0.2919  0.3162  0.3878  2 Mn 1.93-1.94, 3 Li 2.04-2.16
O  0.7349  0.3517  0.9263  1 Co 1.97, 2 Mn 1.97-2.03, 2 Li 2.13-2.15
O  0.7359  0.0187  0.2256  1 Mn 1.88, 3 Li 2.00-2.08
O  0.7369  0.4956  0.2278  1 Mn 1.92, 3 Li 2.02-2.13, 1 Co 2.03
O  0.7568  0.1396  0.5814  2 Mn 1.91-1.98, 2 Li 2.09-2.13
O  0.7688  0.6844  0.5673  2 Mn 1.93-2.00, 3 Li 2.11-2.17
O  0.7733  0.8075  0.8849  2 Mn 1.96-2.03, 1 Co 2.00, 1 Li 2.17

=====

No. 3
DFT (PBE with a Hubbard U) results for an optimized crystal structure of Li7Mn2Co3O12.

Output
Corrected total energy (MP2020 scheme) (eV/cell): -156.9
DFT formation energy (eV/atom): -1.853

Cell lengths 2.9733, 6.4308, 11.9557 Å; angles 103.01, 93.88, 103.34 degrees
With the nearest neighbours (Å) after each atom.
Fractional coordinates of all 24 atoms:
Li  0.0000  0.0000  0.0000  5 O 2.01-2.16
Li  0.0022  0.9963  0.7451  6 O 2.02-2.21
Li  0.0140  0.9988  0.2372  5 O 2.00-2.20
Li  0.3439  0.6773  0.5781  6 O 2.07-2.19
Li  0.3498  0.6873  0.0774  6 O 2.07-2.21
Li  0.6734  0.3373  0.4137  5 O 2.08-2.13
Li  0.6812  0.3356  0.9107  5 O 2.03-2.20
Mn  0.6749  0.3399  0.6617  4 O 1.93-1.98
Mn  0.6758  0.3289  0.1569  5 O 1.82-2.01
Co  0.0125  0.0040  0.4930  4 O 1.91-1.94
Co  0.3431  0.6862  0.8360  2 O 1.74-1.87
Co  0.3561  0.6742  0.3267  4 O 1.91-1.95
O  0.1566  0.3401  0.0528  2 Mn 1.94-1.96, 3 Li 2.07-2.13
O  0.1626  0.3603  0.7863  1 Mn 1.97, 1 Co 1.98, 2 Li 2.13-2.14
O  0.1937  0.3243  0.5356  1 Co 1.94, 1 Mn 1.98, 3 Li 2.08-2.14
O  0.2091  0.3532  0.2739  1 Co 1.95, 2 Mn 2.00-2.04, 2 Li 2.13-2.15
O  0.4869  0.0172  0.6146  1 Co 1.93, 1 Mn 1.96, 2 Li 2.07-2.16
O  0.5000  0.9724  0.8621  1 Co 1.74
O  0.5161  0.0289  0.1256  1 Mn 1.82, 2 Li 2.00-2.02
O  0.5300  0.9899  0.3761  2 Co 1.91-1.92, 1 Li 2.11
O  0.8133  0.6692  0.9427  1 Co 1.87, 2 Li 2.01-2.03
O  0.8242  0.6851  0.4475  2 Co 1.91-1.93, 2 Li 2.12-2.14
O  0.8600  0.6582  0.7071  1 Mn 1.93, 1 Co 1.98, 2 Li 2.05-2.14
O  0.8708  0.6591  0.2099  1 Co 1.91, 1 Mn 2.01, 1 Li 2.07

=====

No. 4
DFT (PBE with a Hubbard U) results for an optimized crystal structure of Li7Mn2Co3O12.

Output
Corrected total energy (MP2020 scheme) (eV/cell): -158.1
DFT formation energy (eV/atom): -1.905

Cell lengths 5.0252, 5.0252, 9.7998 Å; angles 94.84, 94.84, 119.54 degrees
With the nearest neighbours (Å) after each atom.
Fractional coordinates of all 24 atoms:
Li  0.0000  0.0000  0.0000  6 O 2.10-2.12
Li  0.0768  0.4103  0.2465  6 O 2.03-2.26
Li  0.2493  0.2450  0.7532  6 O 2.05-2.23
Li  0.4127  0.0887  0.2471  6 O 2.05-2.20
Li  0.5897  0.9232  0.7535  6 O 2.03-2.26
Li  0.7550  0.7507  0.2468  6 O 2.05-2.23
Li  0.9113  0.5873  0.7529  6 O 2.05-2.20
Mn  0.3322  0.6678  0.0000  6 O 1.94-1.95
Mn  0.8326  0.1674  0.5000  6 O 1.93-1.95
Co  0.1676  0.8324  0.5000  6 O 2.09
Co  0.4949  0.5051  0.5000  6 O 1.99-2.05
Co  0.6675  0.3325  0.0000  6 O 1.89-1.95
O  0.0357  0.6785  0.1119  1 Mn 1.94, 1 Co 1.95, 3 Li 2.03-2.15
O  0.1123  0.1352  0.3823  1 Mn 1.95, 2 Co 2.05-2.09, 3 Li 2.06-2.17
O  0.1917  0.5124  0.6157  1 Mn 1.95, 2 Co 1.99-2.09, 2 Li 2.08-2.17
O  0.3215  0.9643  0.8881  1 Mn 1.94, 1 Co 1.95, 3 Li 2.03-2.15
O  0.3995  0.3974  0.1102  1 Co 1.93, 1 Mn 1.94, 3 Li 2.05-2.16
O  0.4876  0.8083  0.3843  1 Mn 1.95, 2 Co 1.99-2.09, 2 Li 2.08-2.17
O  0.5589  0.2151  0.6143  1 Mn 1.93, 2 Co 2.04-2.09, 2 Li 2.09-2.14
O  0.6026  0.6005  0.8898  1 Co 1.93, 1 Mn 1.94, 3 Li 2.05-2.16
O  0.6763  0.0431  0.1087  1 Co 1.89, 1 Mn 1.95, 2 Li 2.05-2.10
O  0.7849  0.4411  0.3857  1 Mn 1.93, 2 Co 2.04-2.09, 2 Li 2.09-2.14
O  0.8648  0.8877  0.6177  1 Mn 1.95, 2 Co 2.05-2.09, 3 Li 2.06-2.17
O  0.9569  0.3237  0.8913  1 Co 1.89, 1 Mn 1.95, 2 Li 2.05-2.10

=====

No. 5
DFT (PBE with a Hubbard U) results for an optimized crystal structure of Li6Mn3CoO10.

Output
Corrected total energy (MP2020 scheme) (eV/cell): -136.0
DFT formation energy (eV/atom): -2.026

Cell lengths 6.6862, 6.6862, 9.8012 Å; angles 102.85, 102.85, 24.88 degrees
With the nearest neighbours (Å) after each atom.
Fractional coordinates of all 20 atoms:
Li  0.0000  0.0000  0.0000  6 O 2.06-2.18
Li  0.1964  0.1964  0.5997  6 O 2.14-2.25
Li  0.4065  0.4065  0.2092  3 O 1.99-2.05
Li  0.5012  0.5012  0.5018  6 O 2.07-2.16
Li  0.5985  0.5985  0.7938  5 O 2.00-2.21
Li  0.8067  0.8067  0.4030  6 O 2.15-2.23
Mn  0.0929  0.0929  0.3073  5 O 1.83-1.97
Mn  0.7022  0.7022  0.1012  6 O 1.96-2.19
Mn  0.9091  0.9091  0.6963  5 O 1.83-1.97
Co  0.3036  0.3036  0.8978  5 O 1.94-2.11
O  0.0394  0.0394  0.6570  1 Mn 1.83, 2 Li 2.00
O  0.1560  0.1560  0.9650  2 Mn 1.96, 1 Li 2.14, 1 Co 2.17
O  0.2404  0.2404  0.2429  3 Mn 1.98-2.16, 2 Li 2.16
O  0.3544  0.3544  0.5678  2 Mn 1.94, 4 Li 2.15-2.16
O  0.4478  0.4478  0.8350  2 Mn 1.97, 3 Li 2.10-2.16, 1 Co 2.11
O  0.5536  0.5536  0.1684  3 Mn 1.97-2.19, 3 Li 2.05-2.18
O  0.6477  0.6477  0.4357  2 Mn 1.94, 4 Li 2.14-2.17
O  0.7646  0.7646  0.7617  2 Co 1.95, 1 Mn 2.13, 2 Li 2.18
O  0.8489  0.8489  0.0305  2 Co 1.94, 1 Li 2.06
O  0.9623  0.9623  0.3454  1 Mn 1.83, 2 Li 1.99

=====

No. 6
DFT (PBE with a Hubbard U) results for an optimized crystal structure of Li4Mn3CoO8.

Output
Corrected total energy (MP2020 scheme) (eV/cell): -228.4
DFT formation energy (eV/atom): -2.023

Cell lengths 5.4274, 5.7254, 9.8221 Å; angles 89.55, 84.62, 89.71 degrees
With the nearest neighbours (Å) after each atom.
Fractional coordinates of all 32 atoms:
Li  0.2416  0.0025  0.2533  5 O 2.11-2.23
Li  0.2442  0.4997  0.2489  6 O 2.05-2.29
Li  0.2440  0.7507  0.7504  6 O 2.10-2.27
Li  0.2502  0.2478  0.7490  6 O 2.11-2.24
Li  0.7498  0.7522  0.2510  6 O 2.11-2.24
Li  0.7560  0.2493  0.2496  6 O 2.10-2.27
Li  0.7558  0.5003  0.7511  6 O 2.05-2.29
Li  0.7584  0.9975  0.7467  5 O 2.11-2.23
Mn  0.9998  0.2501  0.5000  4 O 1.95-1.96
Mn  0.0000  0.5000  0.0000  4 O 1.95-1.98
Mn  0.0002  0.7499  0.5000  4 O 1.95-1.96
Mn  0.4948  0.2506  0.0022  4 O 1.95-1.97
Mn  0.5000  0.5000  0.5000  4 O 1.96
Mn  0.5052  0.7494  0.9978  4 O 1.95-1.97
Co  0.0000  0.0000  0.0000  4 O 1.92-2.04
Co  0.5000  0.0000  0.5000  4 O 1.92-1.93
O  0.1059  0.7543  0.1163  1 Co 1.92, 1 Mn 1.98, 2 Li 2.13-2.14
O  0.1072  0.4977  0.6164  2 Mn 1.95, 2 Li 2.12-2.15
O  0.1146  0.9981  0.6142  2 Mn 1.96, 2 Li 2.10-2.14
O  0.1157  0.2593  0.1202  1 Mn 1.95, 1 Co 2.04, 2 Li 2.05-2.11
O  0.3698  0.0017  0.8903  2 Mn 1.96-1.97, 2 Li 2.11-2.15, 1 Co 2.19
O  0.3871  0.5011  0.8848  2 Mn 1.95-1.96, 2 Li 2.13-2.16
O  0.3932  0.2474  0.3852  1 Co 1.92, 1 Mn 1.96, 1 Li 2.14
O  0.3927  0.7554  0.3846  1 Co 1.93, 1 Mn 1.96, 1 Li 2.12
O  0.6073  0.2446  0.6154  1 Co 1.93, 1 Mn 1.96, 1 Li 2.12
O  0.6068  0.7526  0.6148  1 Co 1.92, 1 Mn 1.96, 1 Li 2.14
O  0.6129  0.4989  0.1152  2 Mn 1.95-1.96, 2 Li 2.13-2.16
O  0.6302  0.9983  0.1097  2 Mn 1.96-1.97, 2 Li 2.11-2.15, 1 Co 2.19
O  0.8843  0.7407  0.8798  1 Mn 1.95, 1 Co 2.04, 2 Li 2.05-2.11
O  0.8854  0.0019  0.3858  2 Mn 1.96, 2 Li 2.10-2.14
O  0.8928  0.5023  0.3836  2 Mn 1.95, 2 Li 2.12-2.15
O  0.8941  0.2457  0.8837  1 Co 1.92, 1 Mn 1.98, 2 Li 2.13-2.14

=====

> Among the records above, which one has the lowest corrected total energy (MP2020 scheme)?

number 1

=====

> The lowest DFT formation energy belongs to which entry?

number 2

=====

Please write out number 3 again, unchanged.
DFT (PBE with a Hubbard U) results for an optimized crystal structure of Li7Mn2Co3O12.

Output
Corrected total energy (MP2020 scheme) (eV/cell): -156.9
DFT formation energy (eV/atom): -1.853

Cell lengths 2.9733, 6.4308, 11.9557 Å; angles 103.01, 93.88, 103.34 degrees
With the nearest neighbours (Å) after each atom.
Fractional coordinates of all 24 atoms:
Li  0.0000  0.0000  0.0000  5 O 2.01-2.16
Li  0.0022  0.9963  0.7451  6 O 2.02-2.21
Li  0.0140  0.9988  0.2372  5 O 2.00-2.20
Li  0.3439  0.6773  0.5781  6 O 2.07-2.19
Li  0.3498  0.6873  0.0774  6 O 2.07-2.21
Li  0.6734  0.3373  0.4137  5 O 2.08-2.13
Li  0.6812  0.3356  0.9107  5 O 2.03-2.20
Mn  0.6749  0.3399  0.6617  4 O 1.93-1.98
Mn  0.6758  0.3289  0.1569  5 O 1.82-2.01
Co  0.0125  0.0040  0.4930  4 O 1.91-1.94
Co  0.3431  0.6862  0.8360  2 O 1.74-1.87
Co  0.3561  0.6742  0.3267  4 O 1.91-1.95
O  0.1566  0.3401  0.0528  2 Mn 1.94-1.96, 3 Li 2.07-2.13
O  0.1626  0.3603  0.7863  1 Mn 1.97, 1 Co 1.98, 2 Li 2.13-2.14
O  0.1937  0.3243  0.5356  1 Co 1.94, 1 Mn 1.98, 3 Li 2.08-2.14
O  0.2091  0.3532  0.2739  1 Co 1.95, 2 Mn 2.00-2.04, 2 Li 2.13-2.15
O  0.4869  0.0172  0.6146  1 Co 1.93, 1 Mn 1.96, 2 Li 2.07-2.16
O  0.5000  0.9724  0.8621  1 Co 1.74
O  0.5161  0.0289  0.1256  1 Mn 1.82, 2 Li 2.00-2.02
O  0.5300  0.9899  0.3761  2 Co 1.91-1.92, 1 Li 2.11
O  0.8133  0.6692  0.9427  1 Co 1.87, 2 Li 2.01-2.03
O  0.8242  0.6851  0.4475  2 Co 1.91-1.93, 2 Li 2.12-2.14
O  0.8600  0.6582  0.7071  1 Mn 1.93, 1 Co 1.98, 2 Li 2.05-2.14
O  0.8708  0.6591  0.2099  1 Co 1.91, 1 Mn 2.01, 1 Li 2.07

=====

> Which of these has the highest corrected total energy (MP2020 scheme)?

Li6Mn3CoO10